First-principles (PBE with a Hubbard U) data for an optimized crystal structure of Li3Mn5Cr2O12, as listed in Materials Project.

Values from the calculation:
Total energy after the MP2020 corrections (eV/cell): -353.23
Magnetization (μB per cell): 52.0

```
data_Li3Mn5Cr2O12
_chemical_formula_sum 'Li6 Mn10 Cr4 O24'
_cell_length_a 5.097
_cell_length_b 9.137
_cell_length_c 10.073
_cell_angle_alpha 90.00
_cell_angle_beta 100.99
_cell_angle_gamma 90.00
_space_group_name_H-M_alt 'C 1 2 1'
_space_group_IT_number 5
_space_group_name_Hall 'C 2y'
loop_
_atom_site_label
_atom_site_type_symbol
_atom_site_fract_x
_atom_site_fract_y
_atom_site_fract_z
Li1 Li 0.000 0.000 0.000
Li2 Li 0.235 0.837 0.234
Mn1 Mn 0.000 0.342 0.000
Mn2 Mn 0.000 0.502 0.500
Mn3 Mn 0.000 0.836 0.500
Mn4 Mn 0.243 0.160 0.240
Cr1 Cr 0.000 0.168 0.500
Cr2 Cr 0.000 0.662 0.000
O1 O 0.121 0.677 0.386
O2 O 0.124 0.191 0.887
O3 O 0.131 0.499 0.893
O4 O 0.138 0.324 0.394
O5 O 0.143 0.815 0.887
O6 O 0.147 0.007 0.390
```